# 1
{
  "formula": "Fe3Cu2S10",
  "functional": "PBE",
  "state": "optimized geometry",
  "dft_energy_ha_per_atom": -0.1948,
  "space_group": "P1",
  "m_tot_mub_per_atom": 0.0002,
  "cell": [[5.5523, 0.0000, 0.0000], [0.0074, 5.5652, 0.0000], [0.0629, 0.0937, 27.8482]],
  "species": ["Fe", "Fe", "Fe", "Fe", "Fe", "Fe", "Fe", "Fe", "Fe", "Fe", "Fe", "Fe", "Cu", "Cu", "Cu", "Cu", "Cu", "Cu", "Cu", "Cu", "S", "S", "S", "S", "S", "S", "S", "S", "S", "S", "S", "S", "S", "S", "S", "S", "S", "S", "S", "S", "S", "S", "S", "S", "S", "S", "S", "S", "S", "S", "S", "S", "S", "S", "S", "S", "S", "S", "S", "S"],
  "fractional_positions": [[0.0000, 0.0000, 0.0000], [0.9998, 0.0007, 0.3995], [0.9997, 0.5006, 0.0986], [0.4926, 0.4995, 0.3992], [0.4956, 0.5059, 0.5988], [0.4973, 0.5053, 0.0002], [0.4975, 0.5078, 0.7980], [0.5012, 0.0036, 0.3009], [0.5036, 0.5104, 0.2004], [0.9949, 0.0136, 0.7985], [0.9950, 0.5151, 0.6993], [0.9958, 0.4967, 0.4983], [0.4950, 0.0006, 0.4976], [0.4954, 0.0077, 0.0991], [0.4968, 0.0092, 0.6999], [0.4976, 0.0065, 0.8991], [0.9951, 0.0129, 0.1993], [0.9958, 0.0059, 0.5987], [0.9975, 0.5061, 0.8991], [0.9989, 0.5131, 0.3011], [0.0869, 0.1264, 0.7221], [0.0952, 0.1064, 0.9238], [0.0969, 0.1249, 0.5187], [0.1018, 0.1287, 0.1198], [0.1107, 0.6239, 0.7757], [0.1130, 0.0992, 0.3239], [0.1152, 0.5991, 0.5742], [0.1172, 0.6005, 0.1753], [0.1176, 0.6242, 0.3802], [0.1220, 0.6263, 0.9803], [0.3730, 0.1293, 0.8172], [0.3728, 0.6030, 0.6746], [0.3750, 0.1223, 0.4188], [0.3799, 0.5962, 0.4751], [0.3809, 0.1235, 0.0184], [0.3824, 0.5988, 0.0758], [0.3954, 0.1270, 0.6187], [0.3978, 0.6073, 0.8745], [0.4025, 0.6245, 0.2761], [0.4054, 0.1235, 0.2243], [0.5918, 0.3841, 0.3242], [0.5957, 0.8844, 0.5789], [0.5969, 0.4057, 0.9238], [0.5983, 0.8841, 0.1795], [0.6114, 0.4159, 0.7223], [0.6116, 0.8868, 0.3772], [0.6137, 0.8899, 0.7798], [0.6182, 0.4083, 0.5230], [0.6196, 0.4114, 0.1234], [0.6217, 0.8838, 0.9812], [0.8727, 0.3868, 0.8179], [0.8761, 0.4127, 0.6233], [0.8759, 0.9110, 0.2796], [0.8779, 0.4114, 0.2207], [0.8794, 0.3870, 0.4220], [0.8842, 0.3894, 0.0225], [0.8926, 0.8865, 0.6787], [0.8996, 0.9061, 0.8744], [0.9027, 0.8849, 0.4753], [0.9077, 0.8881, 0.0763]]
}


# 2
{
  "formula": "B",
  "functional": "PBE",
  "state": "optimized geometry",
  "dft_energy_ha_per_atom": -0.2347,
  "space_group": "P1",
  "e_above_lowest_polymorph_mev_per_atom": 292,
  "m_tot_mub_per_atom": 0.0000,
  "cell": [[2.8972, 0.0000, 0.0000], [-1.3739, 5.6135, 0.0000], [-0.0370, -1.0897, 5.8113]],
  "species": ["B", "B", "B", "B", "B", "B", "B", "B", "B", "B", "B", "B"],
  "fractional_positions": [[0.0000, 0.0000, 0.0000], [0.0050, 0.0241, 0.5549], [0.1022, 0.0578, 0.2840], [0.1317, 0.2127, 0.8256], [0.2904, 0.5020, 0.9769], [0.4256, 0.7556, 0.8615], [0.4320, 0.7826, 0.5681], [0.5490, 0.0486, 0.7927], [0.6692, 0.2029, 0.2601], [0.7894, 0.4841, 0.2007], [0.8975, 0.7076, 0.0546], [0.9215, 0.7476, 0.4049]]
}


# 3
{
  "formula": "Na2YTiP3O12",
  "functional": "PBE",
  "state": "optimized geometry",
  "dft_energy_ha_per_atom": -0.2738,
  "m_tot_mub_per_atom": 0.0000,
  "cell": [[-6.3683, -5.4407, 3.4212], [3.4883, -1.6373, -8.1861], [16.1984, -12.9807, 9.4913]],
  "species": ["P", "P", "P", "P", "P", "P", "P", "P", "P", "P", "P", "P", "P", "P", "P", "P", "P", "P", "O", "O", "O", "O", "O", "O", "O", "O", "O", "O", "O", "O", "O", "O", "O", "O", "O", "O", "O", "O", "O", "O", "O", "O", "O", "O", "O", "O", "O", "O", "O", "O", "O", "O", "O", "O", "O", "O", "O", "O", "O", "O", "O", "O", "O", "O", "O", "O", "O", "O", "O", "O", "O", "O", "O", "O", "O", "O", "O", "O", "O", "O", "O", "O", "O", "O", "O", "O", "O", "O", "O", "O", "Na", "Na", "Na", "Na", "Na", "Na", "Na", "Na", "Na", "Na", "Na", "Na", "Ti", "Ti", "Ti", "Ti", "Ti", "Ti", "Y", "Y", "Y", "Y", "Y", "Y"],
  "fractional_positions": [[0.0282, 0.3775, 0.9158], [0.3463, 0.3813, 0.4146], [0.9521, 0.3204, 0.5812], [0.6225, 0.9718, 0.4158], [0.6790, 0.6320, 0.5852], [0.6796, 0.0479, 0.0812], [0.6949, 0.7108, 0.2492], [0.2892, 0.3051, 0.7492], [0.2854, 0.9870, 0.2479], [0.0346, 0.6543, 0.4186], [0.9558, 0.6385, 0.0825], [0.0124, 0.2987, 0.2519], [0.7013, 0.9876, 0.7519], [0.3615, 0.0442, 0.5825], [0.3680, 0.3210, 0.0852], [0.3457, 0.9654, 0.9186], [0.6187, 0.6537, 0.9146], [0.0130, 0.7146, 0.7479], [0.1934, 0.9916, 0.9125], [0.6955, 0.5253, 0.5316], [0.1387, 0.6724, 0.0759], [0.0084, 0.8066, 0.4125], [0.9943, 0.1946, 0.9092], [0.8000, 0.0099, 0.8083], [0.9773, 0.7911, 0.8016], [0.3234, 0.8666, 0.9750], [0.8505, 0.8074, 0.5871], [0.5041, 0.8670, 0.3613], [0.6320, 0.4885, 0.9244], [0.5115, 0.3680, 0.4244], [0.8546, 0.5348, 0.7425], [0.4663, 0.1626, 0.5280], [0.1725, 0.9638, 0.1921], [0.5484, 0.8651, 0.4706], [0.4667, 0.3433, 0.1417], [0.5259, 0.8162, 0.7538], [0.8016, 0.7849, 0.3039], [0.7996, 0.8293, 0.1946], [0.5189, 0.7018, 0.2537], [0.6316, 0.1478, 0.4204], [0.2982, 0.4811, 0.7537], [0.4683, 0.1182, 0.6373], [0.8818, 0.5317, 0.1373], [0.2151, 0.1984, 0.8039], [0.9649, 0.8145, 0.0871], [0.9901, 0.2000, 0.3083], [0.1880, 0.2015, 0.4092], [0.3106, 0.4577, 0.4682], [0.8374, 0.5337, 0.0280], [0.1330, 0.4959, 0.8613], [0.1707, 0.2004, 0.6946], [0.0289, 0.1919, 0.1982], [0.2089, 0.0227, 0.3016], [0.5213, 0.8681, 0.0759], [0.8449, 0.0347, 0.0911], [0.2987, 0.8218, 0.2578], [0.8054, 0.0057, 0.4092], [0.1334, 0.6766, 0.4750], [0.1838, 0.4741, 0.2538], [0.8601, 0.3249, 0.2458], [0.8756, 0.3561, 0.6349], [0.9653, 0.1551, 0.5911], [0.5171, 0.1408, 0.9205], [0.4721, 0.3390, 0.7425], [0.8392, 0.2972, 0.5255], [0.0362, 0.8275, 0.6921], [0.7028, 0.1608, 0.0255], [0.6610, 0.5279, 0.2425], [0.1414, 0.6378, 0.3649], [0.1926, 0.1495, 0.0871], [0.3276, 0.8613, 0.5759], [0.3622, 0.8586, 0.8649], [0.3417, 0.4733, 0.0791], [0.1855, 0.0351, 0.5871], [0.7985, 0.8120, 0.9092], [0.6439, 0.1244, 0.1349], [0.4652, 0.1454, 0.2425], [0.1319, 0.4787, 0.5759], [0.1349, 0.4516, 0.9706], [0.5058, 0.6305, 0.8588], [0.8081, 0.9711, 0.6982], [0.8522, 0.3684, 0.9204], [0.1782, 0.7013, 0.7578], [0.6567, 0.5333, 0.6417], [0.5423, 0.6894, 0.9682], [0.3695, 0.4942, 0.3588], [0.6751, 0.1399, 0.7458], [0.4747, 0.3045, 0.0316], [0.8592, 0.4829, 0.4205], [0.5267, 0.6583, 0.5791], [0.9994, 0.9986, 0.5025], [0.6660, 0.3319, 0.8358], [0.0306, 0.6926, 0.5839], [0.3348, 0.6673, 0.6692], [0.6681, 0.3340, 0.3358], [0.0014, 0.0006, 0.0025], [0.3639, 0.3592, 0.2505], [0.6408, 0.6361, 0.7505], [0.3327, 0.6652, 0.1692], [0.6972, 0.0259, 0.9172], [0.9741, 0.3028, 0.4172], [0.3074, 0.9694, 0.0839], [0.6522, 0.3300, 0.4833], [0.9856, 0.9967, 0.1500], [0.3367, 0.6811, 0.3167], [0.3189, 0.6633, 0.8167], [0.0033, 0.0144, 0.6500], [0.6700, 0.3478, 0.9833], [0.6779, 0.3356, 0.1863], [0.6644, 0.3221, 0.6863], [0.0112, 0.0023, 0.8529], [0.9977, 0.9888, 0.3529], [0.3446, 0.6689, 0.5196], [0.3311, 0.6554, 0.0196]]
}


Please write out number 1 again, unchanged.
{
  "formula": "Fe3Cu2S10",
  "functional": "PBE",
  "state": "optimized geometry",
  "dft_energy_ha_per_atom": -0.1948,
  "space_group": "P1",
  "m_tot_mub_per_atom": 0.0002,
  "cell": [[5.5523, 0.0000, 0.0000], [0.0074, 5.5652, 0.0000], [0.0629, 0.0937, 27.8482]],
  "species": ["Fe", "Fe", "Fe", "Fe", "Fe", "Fe", "Fe", "Fe", "Fe", "Fe", "Fe", "Fe", "Cu", "Cu", "Cu", "Cu", "Cu", "Cu", "Cu", "Cu", "S", "S", "S", "S", "S", "S", "S", "S", "S", "S", "S", "S", "S", "S", "S", "S", "S", "S", "S", "S", "S", "S", "S", "S", "S", "S", "S", "S", "S", "S", "S", "S", "S", "S", "S", "S", "S", "S", "S", "S"],
  "fractional_positions": [[0.0000, 0.0000, 0.0000], [0.9998, 0.0007, 0.3995], [0.9997, 0.5006, 0.0986], [0.4926, 0.4995, 0.3992], [0.4956, 0.5059, 0.5988], [0.4973, 0.5053, 0.0002], [0.4975, 0.5078, 0.7980], [0.5012, 0.0036, 0.3009], [0.5036, 0.5104, 0.2004], [0.9949, 0.0136, 0.7985], [0.9950, 0.5151, 0.6993], [0.9958, 0.4967, 0.4983], [0.4950, 0.0006, 0.4976], [0.4954, 0.0077, 0.0991], [0.4968, 0.0092, 0.6999], [0.4976, 0.0065, 0.8991], [0.9951, 0.0129, 0.1993], [0.9958, 0.0059, 0.5987], [0.9975, 0.5061, 0.8991], [0.9989, 0.5131, 0.3011], [0.0869, 0.1264, 0.7221], [0.0952, 0.1064, 0.9238], [0.0969, 0.1249, 0.5187], [0.1018, 0.1287, 0.1198], [0.1107, 0.6239, 0.7757], [0.1130, 0.0992, 0.3239], [0.1152, 0.5991, 0.5742], [0.1172, 0.6005, 0.1753], [0.1176, 0.6242, 0.3802], [0.1220, 0.6263, 0.9803], [0.3730, 0.1293, 0.8172], [0.3728, 0.6030, 0.6746], [0.3750, 0.1223, 0.4188], [0.3799, 0.5962, 0.4751], [0.3809, 0.1235, 0.0184], [0.3824, 0.5988, 0.0758], [0.3954, 0.1270, 0.6187], [0.3978, 0.6073, 0.8745], [0.4025, 0.6245, 0.2761], [0.4054, 0.1235, 0.2243], [0.5918, 0.3841, 0.3242], [0.5957, 0.8844, 0.5789], [0.5969, 0.4057, 0.9238], [0.5983, 0.8841, 0.1795], [0.6114, 0.4159, 0.7223], [0.6116, 0.8868, 0.3772], [0.6137, 0.8899, 0.7798], [0.6182, 0.4083, 0.5230], [0.6196, 0.4114, 0.1234], [0.6217, 0.8838, 0.9812], [0.8727, 0.3868, 0.8179], [0.8761, 0.4127, 0.6233], [0.8759, 0.9110, 0.2796], [0.8779, 0.4114, 0.2207], [0.8794, 0.3870, 0.4220], [0.8842, 0.3894, 0.0225], [0.8926, 0.8865, 0.6787], [0.8996, 0.9061, 0.8744], [0.9027, 0.8849, 0.4753], [0.9077, 0.8881, 0.0763]]
}